Cs2Ni3S4, optimized geometry, DFT PBE; E_form = -0.97 eV per atom; density = 4.1 g/cm³
1.0
2.946 -5.102 0.000
2.946 5.102 0.000
0.000 0.000 15.236
Cs Ni S
4 6 8
direct
0.333 0.667 0.909
0.667 0.333 0.409
0.667 0.333 0.091
0.333 0.667 0.591
0.166 0.834 0.250
0.834 0.667 0.750
0.834 0.166 0.750
0.166 0.333 0.250
0.333 0.166 0.750
0.667 0.834 0.250
0.333 0.667 0.343
0.667 0.333 0.843
0.667 0.333 0.657
0.333 0.667 0.157
0.000 0.000 0.657
0.000 0.000 0.157
0.000 0.000 0.843
0.000 0.000 0.343

***

Pr3Co13B2, optimized geometry, DFT PBE; E_form = -0.13 eV per atom; density = 8.2 g/cm³
1.0
-1.573 4.370 2.146
3.664 -2.778 2.243
7.535 5.444 -5.563
Pr Co B
3 13 2
direct
0.000 0.000 0.677
0.000 0.000 0.323
0.000 0.000 0.000
0.500 0.500 0.500
0.000 0.500 0.500
0.500 0.000 0.500
0.667 0.333 0.682
0.333 0.667 0.318
0.333 0.667 0.682
0.667 0.333 0.318
0.500 0.500 0.866
0.500 0.500 0.134
0.000 0.500 0.866
0.000 0.500 0.134
0.500 0.000 0.866
0.500 0.000 0.134
0.667 0.333 0.000
0.333 0.667 0.000